Below is an optimized crystal structure of TiPt3, with properties calculated at the PBE level.

Unit cell a=3.952 b=3.952 c=3.952 alpha=90.00 beta=90.00 gamma=90.00
Space group Pm-3m (No. 221)
Unique sites:
1 Ti 0.000 0.000 0.000 [1 per cell]
2 Pt 0.000 0.500 0.500 [3 per cell]

Results
DFT formation energy (eV/atom): -0.844
Calculated volume (Å³ per atom): 15.43